This record from Materials Project describes an optimized crystal structure of WCl2O2. The functional is PBE+U.

Cell and atoms, written as extended XYZ:
```
10
Lattice="3.933 0.000 0.000 0.000 7.752 0.000 0.000 0.000 8.236" Properties=species:S:1:pos:R:3 pbc="T T T"
W 3.721 3.774 0.000
W 0.212 7.650 0.000
Cl 0.073 3.504 5.961
Cl 3.859 7.380 2.276
Cl 3.859 7.380 5.961
Cl 0.073 3.504 2.276
O 1.951 3.648 0.000
O 1.982 7.523 0.000
O 3.905 5.555 0.000
O 0.027 1.679 0.000
```

Values from the calculation:
SG = Pmc2_1
energy above the most stable polymorph in this dataset = 15.5 meV per atom
total DFT energy (no corrections) = -5.62 eV/atom
DFT formation energy = -1.477 eV per atom